Entry from the Materials Project database: crystalline Na3YTiSi2SO12 at its relaxed geometry (PBE).

```
Na3YTiSi2SO12
1.0
-3.867 7.799 -3.213
-5.169 -6.042 4.782
5.263 9.585 19.581
O Y Ti Si S Na
72 6 6 12 6 18
direct
0.001 0.801 0.413
0.166 0.481 0.250
0.473 0.127 0.644
0.195 0.706 0.757
0.456 0.332 0.132
0.335 0.877 0.966
0.357 0.899 0.858
0.519 0.834 0.750
0.690 0.566 0.524
0.682 0.519 0.249
0.768 0.976 0.691
0.549 0.670 0.982
0.861 0.039 0.090
0.330 0.451 0.482
0.521 0.701 0.254
0.961 0.139 0.590
0.854 0.368 0.921
0.789 0.998 0.799
0.199 0.187 0.415
0.510 0.867 0.358
0.632 0.146 0.421
0.216 0.003 0.315
0.015 0.186 0.916
0.663 0.118 0.149
0.299 0.479 0.754
0.176 0.200 0.691
0.187 0.035 0.587
0.532 0.666 0.580
0.152 0.967 0.198
0.882 0.337 0.649
0.294 0.805 0.257
0.873 0.527 0.144
0.540 0.860 0.477
0.499 0.148 0.917
0.481 0.318 0.749
0.147 0.651 0.082
0.434 0.310 0.024
0.700 0.182 0.031
0.668 0.544 0.632
0.186 0.167 0.084
0.024 0.232 0.191
0.814 0.985 0.416
0.146 0.468 0.582
0.813 0.801 0.915
0.123 0.665 0.466
0.528 0.373 0.423
0.334 0.468 0.080
0.485 0.633 0.864
0.818 0.300 0.531
0.866 0.521 0.748
0.997 0.784 0.815
0.002 0.211 0.299
0.207 0.194 0.811
0.199 0.999 0.913
0.833 0.814 0.584
0.800 0.824 0.191
0.367 0.515 0.364
0.133 0.490 0.858
0.627 0.472 0.923
0.965 0.813 0.087
0.843 0.534 0.025
0.033 0.848 0.698
0.806 0.793 0.311
0.667 0.134 0.747
0.101 0.643 0.358
0.466 0.157 0.525
0.349 0.853 0.582
0.479 0.134 0.248
0.852 0.501 0.417
0.140 0.460 0.977
0.532 0.854 0.082
0.866 0.333 0.247
0.653 0.325 0.185
0.342 0.680 0.018
0.320 0.658 0.518
0.675 0.347 0.685
0.008 0.013 0.352
0.987 0.992 0.852
0.984 0.960 0.146
0.650 0.294 0.479
0.317 0.627 0.813
0.706 0.350 0.979
0.040 0.016 0.646
0.373 0.683 0.313
0.015 0.710 0.754
0.035 0.368 0.919
0.632 0.965 0.419
0.702 0.701 0.252
0.682 0.044 0.088
0.290 0.985 0.254
0.623 0.652 0.921
0.299 0.298 0.752
0.348 0.377 0.421
0.966 0.631 0.086
0.956 0.318 0.588
0.369 0.034 0.586
0.350 0.980 0.912
0.686 0.983 0.745
0.020 0.650 0.412
0.017 0.314 0.245
0.353 0.316 0.079
0.684 0.647 0.579
0.332 0.695 0.166
0.661 0.967 0.582
0.366 0.006 0.749
0.333 0.028 0.409
0.328 0.300 0.916
0.972 0.667 0.909
0.033 0.339 0.082
0.971 0.002 0.999
0.998 0.029 0.499
0.638 0.335 0.332
0.305 0.668 0.666
0.665 0.362 0.832
0.000 0.361 0.742
0.667 0.694 0.075
0.639 0.000 0.242
0.700 0.672 0.416
0.306 0.333 0.575
0.994 0.634 0.249
```

total energy = -7.091 eV/atom
magnetization = 0.00 μB per cell
ρ = 2.89 g/cm3